Density functional theory data (PBE-GGA) for a relaxed Na5La3TiSi3S3O24 crystal.

Lattice parameters (Å, degrees): 9.5347 9.4504 23.7731 91.58 89.60 119.70
Last column: nearest neighbours and their distance in Å.
Atoms (fractional coordinates):
O 0.2155 0.1974 0.4131  1 S 1.47
O 0.3085 0.8553 0.9689  1 Si 1.61
O 0.6713 0.5340 0.2471  1 S 1.48
O 0.2353 0.1828 0.8002  1 Si 1.62
O 0.9704 0.8065 0.4171  1 Si 1.63
O 0.4757 0.3258 0.0264  1 S 1.51
O 0.3181 0.8424 0.2492  1 S 1.50
O 0.8557 0.3765 0.9190  1 S 1.53
O 0.9654 0.8034 0.0717  1 Si 1.64
O 0.1340 0.6736 0.4670  1 Si 1.61
O 0.8739 0.3360 0.6290  1 S 1.47
O 0.7898 0.0148 0.8101  1 Si 1.61
O 0.8733 0.5524 0.1404  1 Si 1.65
O 0.2263 0.0052 0.3016  1 S 1.48
O 0.5086 0.8149 0.7608  1 Si 1.72, 1 Ti 1.85
O 0.6735 0.5088 0.5285  1 Si 1.73, 1 Ti 1.86
O 0.8545 0.3281 0.5266  1 S 1.51
O 0.5551 0.8515 0.4676  1 Si 1.64
O 0.4988 0.3693 0.7485  1 Si 1.65
O 0.5360 0.6975 0.2522  1 S 1.48
O 0.8341 0.8176 0.5763  1 Si 1.65
O 0.6337 0.1353 0.7504  1 Si 1.63
O 0.1911 0.9882 0.9069  1 Si 1.62
O 0.9744 0.2018 0.9136  1 S 1.49
O 0.4801 0.1543 0.5331  1 S 1.48
O 0.8234 0.8091 0.9112  1 Si 1.62
O 0.5135 0.6575 0.5792  1 Si 1.65
O 0.3276 0.4404 0.4692  1 S 1.47
O 0.2122 0.0321 0.5755  1 S 1.48
O 0.8185 0.4964 0.0259  1 Si 1.75, 1 Ti 1.85
O 0.1562 0.4944 0.2503  1 Si 1.66
O 0.6659 0.1358 0.0319  1 S 1.47
O 0.6732 0.5533 0.6417  1 Si 1.62
O 0.3681 0.8904 0.5768  1 S 1.50
O 0.1734 0.6966 0.7576  1 S 1.48
O 0.7837 0.7748 0.3044  1 S 1.49
O 0.6692 0.1125 0.1347  1 S 1.50
O 0.5070 0.3531 0.4262  1 S 1.50
O 0.6409 0.4899 0.9263  1 Si 1.71, 1 Ti 1.84
O 0.4488 0.1221 0.6350  1 S 1.48
O 0.4537 0.3260 0.1290  1 S 1.48
O 0.3140 0.4988 0.7699  1 Si 1.68
O 0.5427 0.9150 0.3583  1 Si 1.65
O 0.1065 0.4711 0.8684  1 S 1.47
O 0.3806 0.4623 0.3693  1 S 1.49
O 0.8302 0.4880 0.4313  1 Si 1.71, 1 Ti 1.85
O 0.0694 0.6149 0.3581  1 Si 1.65
O 0.4721 0.1372 0.2480  1 S 1.49
O 0.5317 0.8726 0.0794  1 S 1.48
O 0.2153 0.1776 0.0706  1 S 1.49
O 0.0020 0.1916 0.2003  1 Si 1.64
O 0.1239 0.6305 0.0785  1 Si 1.62
O 0.8793 0.5366 0.7457  1 S 1.48
O 0.9481 0.1667 0.5734  1 S 1.50
O 0.5497 0.7007 0.9689  1 Si 1.58
O 0.1166 0.4632 0.5751  1 S 1.47
O 0.6555 0.1681 0.4347  1 Si 1.68
O 0.5266 0.6507 0.8593  1 Si 1.71, 1 Ti 1.84
O 0.1995 0.2441 0.6951  1 Si 1.65
O 0.8305 0.3192 0.2513  1 Si 1.68
O 0.7883 0.8002 0.2031  1 S 1.48
O 0.0372 0.8073 0.7053  1 S 1.50
O 0.8283 0.0230 0.4159  1 Si 1.66
O 0.5246 0.1506 0.9264  1 Si 1.70
O 0.7653 0.9615 0.6969  1 Si 1.65
O 0.3601 0.4740 0.0766  1 S 1.47
O 0.9904 0.2202 0.3132  1 Si 1.65
O 0.9907 0.7711 0.8058  1 S 1.48
O 0.1046 0.4440 0.9700  1 S 1.46
O 0.3806 0.8673 0.8608  1 Si 1.72
O 0.2085 0.9839 0.1996  1 S 1.47
O 0.8248 0.0314 0.0746  1 S 1.50
Si 0.0000 0.3068 0.2528  4 O 1.64-1.68
Si 0.3071 0.3214 0.7530  4 O 1.62-1.68
Si 0.6369 0.6666 0.9177  4 O 1.58-1.71
Si 0.9513 0.6249 0.0786  4 O 1.62-1.75
Si 0.6396 0.9869 0.4189  4 O 1.64-1.68
Si 0.6740 0.6352 0.5826  4 O 1.62-1.73
Si 0.6859 0.9953 0.7543  4 O 1.61-1.72
Si 0.0107 0.6583 0.4183  4 O 1.61-1.71
Si 0.3508 0.9713 0.9160  4 O 1.61-1.72
Na 0.6417 0.3088 0.8349  5 O 2.53-2.73
Na 0.9961 0.6189 0.2481  2 O 2.35-2.47
Na 0.6372 0.6495 0.7449  2 O 2.30-2.44
Na 0.6860 0.0164 0.9136  3 O 2.42-2.65
Na 0.9916 0.6906 0.9192  3 O 2.38-2.58
Na 0.6663 0.9451 0.5806  4 O 2.36-2.63
Na 0.9540 0.3091 0.4121  4 O 2.36-2.55
Na 0.6538 0.0141 0.2595  5 O 2.53-2.79
Na 0.2815 0.6191 0.1607  3 O 2.46-2.70
Na 0.6948 0.6877 0.4313  1 O 2.32
Na 0.6658 0.3107 0.3378  5 O 2.56-2.74
Na 0.3251 0.6210 0.6750  4 O 2.54-2.81
Na 0.0001 0.9659 0.5023  3 O 2.34-2.50
Na 0.3564 0.0042 0.7650  3 O 2.33-2.59
Na 0.0117 0.9777 0.9965  3 O 2.35-2.63
La 0.3179 0.6633 0.3256  5 O 2.31-2.52
La 0.0024 0.0019 0.1403  6 O 2.26-2.53
La 0.0006 0.0071 0.3512  6 O 2.28-2.45
La 0.0150 0.0219 0.8491  6 O 2.23-2.46
La 0.0014 0.0100 0.6529  4 O 2.29-2.48
La 0.3295 0.6718 0.0168  5 O 2.19-2.41
La 0.6639 0.3395 0.6853  6 O 2.26-2.42
La 0.3330 0.6713 0.5164  6 O 2.25-2.48
La 0.6767 0.3382 0.1775  4 O 2.17-2.38
S 0.9503 0.3262 0.5765  4 O 1.47-1.51
S 0.0210 0.7017 0.7536  4 O 1.48-1.50
S 0.3053 0.9948 0.2493  4 O 1.47-1.50
S 0.6934 0.7010 0.2507  4 O 1.48-1.49
S 0.3558 0.3624 0.4196  4 O 1.47-1.50
S 0.6720 0.0391 0.0782  4 O 1.47-1.50
S 0.3762 0.3273 0.0756  4 O 1.47-1.51
S 0.3764 0.0529 0.5790  4 O 1.48-1.50
S 0.0162 0.3765 0.9172  4 O 1.46-1.53
Ti 0.6590 0.3545 0.9761  4 O 1.84-2.05
Ti 0.3836 0.6863 0.8187  4 O 1.84-1.97
Ti 0.6806 0.3507 0.4822  3 O 1.85-1.95

Crystal system: triclinic
Calculated volume in A^3/atom: 15.90
Calculated total energy in eV/atom: -6.90
Formation energy from the elements in kJ/mol of formula units: -10507.4

***

Density functional theory data (PBE-GGA) for a relaxed SmCO4 crystal.

Lattice parameters (Å, degrees): 9.8276 12.4213 12.4213 120.00 90.00 90.00
Last column: nearest neighbours and their distance in Å.
Atoms (fractional coordinates):
Sm 0.7533 0.7860 0.2197  9 O 2.40-2.59
Sm 0.7519 0.4431 0.5461  9 O 2.41-2.55
Sm 0.7519 0.4539 0.8970  9 O 2.41-2.55
Sm 0.7533 0.4337 0.2140  9 O 2.40-2.59
Sm 0.7425 0.1161 0.8866  9 O 2.40-2.59
Sm 0.2467 0.7860 0.2197  9 O 2.40-2.59
Sm 0.7519 0.1030 0.5569  9 O 2.41-2.55
Sm 0.2467 0.7803 0.5663  9 O 2.40-2.59
Sm 0.7425 0.1134 0.2295  9 O 2.40-2.59
Sm 0.7533 0.7803 0.5663  9 O 2.40-2.59
Sm 0.2575 0.1134 0.2295  9 O 2.40-2.59
Sm 0.2467 0.4337 0.2140  9 O 2.40-2.59
Sm 0.2481 0.4431 0.5461  9 O 2.41-2.55
Sm 0.2481 0.1030 0.5569  9 O 2.41-2.55
Sm 0.7425 0.7705 0.8839  9 O 2.40-2.59
Sm 0.2575 0.7705 0.8839  9 O 2.40-2.59
Sm 0.2481 0.4539 0.8970  9 O 2.41-2.55
Sm 0.2575 0.1161 0.8866  9 O 2.40-2.59
O 0.6158 0.4930 0.4036  1 C 1.29
O 0.8075 0.9977 0.6718  3 Sm 2.40-2.43, 3 O 2.59-2.68
O 0.0000 0.0858 0.1775  1 C 1.29
O 0.8837 0.1715 0.4276  1 C 1.29
O 0.0000 0.7641 0.2572  1 C 1.30
O 0.7458 0.3333 0.6667  3 Sm 2.48
O 0.0000 0.7428 0.5069  1 C 1.30
O 0.3847 0.5820 0.8336  1 C 1.29
O 0.3849 0.9165 0.7675  1 C 1.30
O 0.8837 0.5724 0.7439  1 C 1.29
O 0.5000 0.0303 0.1727  1 C 1.29
O 0.5000 0.1424 0.9697  1 C 1.29
O 0.8075 0.6742 0.0023  3 Sm 2.40-2.43, 3 O 2.59-2.68
O 0.5000 0.7615 0.5163  1 C 1.30
O 0.1159 0.5826 0.4927  1 C 1.29
O 0.3091 0.3384 0.9980  3 Sm 2.41-2.44, 3 O 2.62-2.63
O 0.0000 0.1594 0.5748  1 C 1.30
O 0.1154 0.9298 0.1738  1 C 1.29
O 0.6153 0.5820 0.8336  1 C 1.29
O 0.3842 0.5964 0.0894  1 C 1.29
O 0.5000 0.1596 0.5913  1 C 1.30
O 0.0000 0.0917 0.9142  1 C 1.29
O 0.0000 0.4931 0.2359  1 C 1.30
O 0.5000 0.4317 0.8404  1 C 1.30
O 0.8841 0.5826 0.4927  1 C 1.29
O 0.0000 0.8225 0.9083  1 C 1.29
O 0.8846 0.2440 0.0702  1 C 1.29
O 0.6909 0.0020 0.3404  3 Sm 2.41-2.44, 3 O 2.62-2.63
O 0.3842 0.9106 0.5070  1 C 1.29
O 0.6909 0.6596 0.6616  3 Sm 2.41-2.44, 3 O 2.62-2.63
O 0.1154 0.8262 0.7560  1 C 1.29
O 0.5000 0.4837 0.2452  1 C 1.30
O 0.6151 0.2325 0.1489  1 C 1.30
O 0.0000 0.4252 0.5846  1 C 1.30
O 0.3842 0.4930 0.4036  1 C 1.29
O 0.8841 0.5073 0.0899  1 C 1.29
O 0.6158 0.5964 0.0894  1 C 1.29
O 0.3847 0.2515 0.4180  1 C 1.29
O 0.1159 0.9101 0.4174  1 C 1.29
O 0.8837 0.2561 0.8285  1 C 1.29
O 0.5000 0.7548 0.2385  1 C 1.30
O 0.2507 0.6667 0.3333  3 Sm 2.51
O 0.1925 0.3282 0.3258  3 Sm 2.40-2.43, 3 O 2.59-2.68
O 0.3091 0.0020 0.3404  3 Sm 2.41-2.44, 3 O 2.62-2.63
O 0.3847 0.1664 0.7485  1 C 1.29
O 0.8841 0.9101 0.4174  1 C 1.29
O 0.8846 0.8262 0.7560  1 C 1.29
O 0.1163 0.5724 0.7439  1 C 1.29
O 0.6158 0.9106 0.5070  1 C 1.29
O 0.6909 0.3384 0.9980  3 Sm 2.41-2.44, 3 O 2.62-2.63
O 0.5000 0.8273 0.8576  1 C 1.29
O 0.3849 0.8511 0.0835  1 C 1.30
O 0.1925 0.6742 0.0023  3 Sm 2.40-2.43, 3 O 2.59-2.68
O 0.7493 0.6667 0.3333  3 Sm 2.51
O 0.3091 0.6596 0.6616  3 Sm 2.41-2.44, 3 O 2.62-2.63
O 0.6151 0.8511 0.0835  1 C 1.30
O 0.1154 0.2440 0.0702  1 C 1.29
O 0.8075 0.3282 0.3258  3 Sm 2.40-2.43, 3 O 2.59-2.68
O 0.2473 0.0000 0.0000  3 Sm 2.47
O 0.0000 0.4154 0.8406  1 C 1.30
O 0.5000 0.4087 0.5683  1 C 1.30
O 0.1163 0.2561 0.8285  1 C 1.29
O 0.1925 0.9977 0.6718  3 Sm 2.40-2.43, 3 O 2.59-2.68
O 0.1159 0.5073 0.0899  1 C 1.29
O 0.3849 0.2325 0.1489  1 C 1.30
O 0.7527 0.0000 0.0000  3 Sm 2.47
O 0.1163 0.1715 0.4276  1 C 1.29
O 0.2542 0.3333 0.6667  3 Sm 2.48
O 0.6151 0.9165 0.7675  1 C 1.30
O 0.6153 0.2515 0.4180  1 C 1.29
O 0.6153 0.1664 0.7485  1 C 1.29
O 0.8846 0.9298 0.1738  1 C 1.29
C 0.0000 0.3059 0.8308  3 O 1.29-1.30
C 0.5000 0.2027 0.0900  3 O 1.29-1.30
C 0.5000 0.6464 0.1374  3 O 1.29-1.30
C 0.5000 0.8873 0.7973  3 O 1.29-1.30
C 0.0000 0.6327 0.4956  3 O 1.29-1.30
C 0.5000 0.3015 0.4672  3 O 1.29-1.30
C 0.0000 0.9796 0.1734  3 O 1.29
C 0.5000 0.4910 0.3536  3 O 1.29-1.30
C 0.0000 0.5044 0.1371  3 O 1.29-1.30
C 0.0000 0.5249 0.6941  3 O 1.29-1.30
C 0.5000 0.9100 0.1127  3 O 1.29-1.30
C 0.5000 0.1657 0.6985  3 O 1.29-1.30
C 0.0000 0.8629 0.3673  3 O 1.29-1.30
C 0.5000 0.5328 0.8343  3 O 1.29-1.30
C 0.0000 0.1692 0.4751  3 O 1.29-1.30
C 0.0000 0.1939 0.0204  3 O 1.29
C 0.0000 0.8266 0.8061  3 O 1.29
C 0.5000 0.8626 0.5090  3 O 1.29-1.30

Crystal system: hexagonal
Calculated volume in A^3/atom: 12.16
Calculated total energy in eV/atom: -7.67
Distance to the lowest polymorph of the same formula in eV per formula unit: 0.05
Formation energy from the elements in kJ/mol of formula units: -1451.4

***

Density functional theory data (PBE-GGA) for a relaxed Nb9PO25 crystal.

Lattice parameters (Å, degrees): 11.4272 11.4272 11.4272 91.65 91.65 160.46
Last column: nearest neighbours and their distance in Å.
Atoms (fractional coordinates):
Nb 0.7750 0.8830 0.6726  4 O 1.86-2.02
Nb 0.1173 0.3337 0.4419  3 O 1.81-2.00
Nb 0.8977 0.2250 0.1080  4 O 1.86-2.02
Nb 0.0000 0.0000 0.0000  6 O 1.94-2.03
Nb 0.1170 0.7896 0.8920  4 O 1.86-2.02
Nb 0.3246 0.8827 0.2163  3 O 1.81-2.00
Nb 0.2104 0.1023 0.3274  4 O 1.86-2.02
Nb 0.6663 0.1082 0.7837  3 O 1.81-2.00
Nb 0.8918 0.6754 0.5581  3 O 1.81-2.00
O 0.4803 0.9695 0.3851  1 P 1.55
O 0.1654 0.6548 0.8002  2 Nb 1.97-2.07
O 0.7421 0.6030 0.3648  2 Nb 2.01-2.02
O 0.1133 0.0514 0.1691  2 Nb 1.86-2.03
O 0.7089 0.9989 0.7322  1 Nb 1.81
O 0.9048 0.5197 0.4892  1 P 1.55
O 0.1559 0.2010 0.3946  2 Nb 1.88-2.00
O 0.2387 0.8441 0.0451  2 Nb 1.88-2.00
O 0.8823 0.9442 0.8309  2 Nb 1.86-2.03
O 0.0233 0.2911 0.2900  1 Nb 1.81
O 0.0558 0.8867 0.9381  2 Nb 1.86-2.03
O 0.8547 0.3653 0.1998  2 Nb 1.97-2.07
O 0.6347 0.8346 0.4894  2 Nb 1.97-2.07
O 0.8064 0.7613 0.6054  2 Nb 1.88-2.00
O 0.5000 0.5000 0.0000  2 Nb 1.94
O 0.2668 0.9767 0.2678  1 Nb 1.81
O 0.2382 0.3773 0.6352  2 Nb 2.01-2.02
O 0.3452 0.1453 0.5106  2 Nb 1.97-2.07
O 0.6227 0.2579 0.8609  2 Nb 2.01-2.02
O 0.0011 0.7332 0.7100  1 Nb 1.81
O 0.5845 0.0952 0.6149  1 P 1.55
O 0.9486 0.1177 0.0619  2 Nb 1.86-2.03
O 0.0305 0.4155 0.5108  1 P 1.55
O 0.7990 0.1936 0.9549  2 Nb 1.88-2.00
O 0.3970 0.7618 0.1391  2 Nb 2.01-2.02
P 0.7500 0.2500 0.5000  4 O 1.55

Crystal system: tetragonal
Calculated volume in A^3/atom: 14.05
Calculated total energy in eV/atom: -8.81
Formation energy from the elements in kJ/mol of formula units: -10181.6